1.
# Mg3CrN3

An optimized crystal structure of Mg3CrN3 (PBE, Materials Project).

DFT total energy = -6.275 eV/atom
space-group type = No. 176

abc: 6.8702 6.8710 4.4130
angles: 90.00 90.00 119.99
Closest atoms and distances in Å follow each position.
Atoms (fractional coordinates):
Mg (0.8279, 0.6537, 0.2500)  4 N 2.12-2.21
Mg (0.8259, 0.1721, 0.2500)  4 N 2.12-2.21
Mg (0.3462, 0.1741, 0.2500)  4 N 2.12-2.21
Mg (0.1721, 0.3463, 0.7500)  4 N 2.12-2.21
Mg (0.1741, 0.8279, 0.7500)  4 N 2.12-2.21
Mg (0.6538, 0.8259, 0.7500)  4 N 2.12-2.21
Cr (0.6667, 0.3332, 0.7500)  3 N 1.78
Cr (0.3333, 0.6668, 0.2500)  3 N 1.78
N (0.8175, 0.6328, 0.7500)  1 Cr 1.78
N (0.8154, 0.1824, 0.7500)  1 Cr 1.78
N (0.3671, 0.1844, 0.7500)  1 Cr 1.78
N (0.1825, 0.3672, 0.2500)  1 Cr 1.78
N (0.1846, 0.8176, 0.2500)  1 Cr 1.78
N (0.6329, 0.8156, 0.2500)  1 Cr 1.78

***

2.
# NaMg6Cr

An optimized crystal structure of NaMg6Cr (PBE, Materials Project).

DFT total energy = -2.356 eV/atom

abc: 5.1922 6.3630 11.0713
angles: 90.00 90.00 90.00
Closest atoms and distances in Å follow each position.
Atoms (fractional coordinates):
Na (0.0000, 0.5000, 0.3318)  10 Mg 3.12-3.27, 2 Cr 3.22
Na (0.0000, 0.0000, 0.8318)  10 Mg 3.12-3.27, 2 Cr 3.22
Mg (0.0000, 0.7418, 0.0867)  8 Mg 3.08-3.29, 2 Na 3.12-3.27, 2 Cr 3.12
Mg (0.0000, 0.2582, 0.0867)  8 Mg 3.08-3.29, 2 Na 3.12-3.27, 2 Cr 3.12
Mg (0.0000, 0.0000, 0.3331)  10 Mg 3.18-3.20, 2 Na 3.18
Mg (0.5000, 0.2474, 0.4178)  2 Cr 3.11-3.27, 8 Mg 3.15-3.21, 2 Na 3.20
Mg (0.5000, 0.7526, 0.4178)  2 Cr 3.11-3.27, 8 Mg 3.15-3.21, 2 Na 3.20
Mg (0.5000, 0.0000, 0.1661)  2 Cr 3.18, 10 Mg 3.18-3.20
Mg (0.0000, 0.2418, 0.5867)  8 Mg 3.08-3.29, 2 Na 3.12-3.27, 2 Cr 3.12
Mg (0.0000, 0.7582, 0.5867)  8 Mg 3.08-3.29, 2 Na 3.12-3.27, 2 Cr 3.12
Mg (0.0000, 0.5000, 0.8331)  10 Mg 3.18-3.20, 2 Na 3.18
Mg (0.5000, 0.7474, 0.9178)  2 Cr 3.11-3.27, 8 Mg 3.15-3.21, 2 Na 3.20
Mg (0.5000, 0.2526, 0.9178)  2 Cr 3.11-3.27, 8 Mg 3.15-3.21, 2 Na 3.20
Mg (0.5000, 0.5000, 0.6661)  2 Cr 3.18, 10 Mg 3.18-3.20
Cr (0.5000, 0.5000, 0.1600)  10 Mg 3.11-3.27, 2 Na 3.22
Cr (0.5000, 0.0000, 0.6600)  10 Mg 3.11-3.27, 2 Na 3.22

***

3.
# NaMg6Cr

An optimized crystal structure of NaMg6Cr (PBE, Materials Project).

DFT total energy = -2.359 eV/atom

abc: 5.1372 6.4271 10.9812
angles: 90.00 90.00 90.00
Closest atoms and distances in Å follow each position.
Atoms (fractional coordinates):
Na (0.5000, 0.0000, 0.8339)  10 Mg 3.17-3.20, 2 Cr 3.21
Na (0.5000, 0.5000, 0.3339)  10 Mg 3.17-3.20, 2 Cr 3.21
Mg (0.5000, 0.2502, 0.5833)  8 Mg 3.16-3.22, 2 Na 3.17-3.19, 2 Cr 3.18
Mg (0.5000, 0.7498, 0.5833)  8 Mg 3.16-3.22, 2 Na 3.17-3.19, 2 Cr 3.18
Mg (0.0000, 0.2390, 0.4153)  8 Mg 3.07-3.35, 2 Cr 3.12, 2 Na 3.20
Mg (0.0000, 0.7610, 0.4153)  8 Mg 3.07-3.35, 2 Cr 3.12, 2 Na 3.20
Mg (0.0000, 0.0000, 0.6643)  10 Mg 3.14-3.23, 2 Na 3.17
Mg (0.0000, 0.0000, 0.1712)  10 Mg 3.09-3.27, 2 Cr 3.13
Mg (0.5000, 0.7502, 0.0833)  8 Mg 3.16-3.22, 2 Na 3.17-3.19, 2 Cr 3.18
Mg (0.5000, 0.2498, 0.0833)  8 Mg 3.16-3.22, 2 Na 3.17-3.19, 2 Cr 3.18
Mg (0.0000, 0.7390, 0.9153)  8 Mg 3.07-3.35, 2 Cr 3.12, 2 Na 3.20
Mg (0.0000, 0.2610, 0.9153)  8 Mg 3.07-3.35, 2 Cr 3.12, 2 Na 3.20
Mg (0.0000, 0.5000, 0.1643)  10 Mg 3.14-3.23, 2 Na 3.17
Mg (0.0000, 0.5000, 0.6712)  10 Mg 3.09-3.27, 2 Cr 3.13
Cr (0.5000, 0.0000, 0.3335)  10 Mg 3.12-3.18, 2 Na 3.21
Cr (0.5000, 0.5000, 0.8335)  10 Mg 3.12-3.18, 2 Na 3.21

***

4.
# NaMg14Cr

An optimized crystal structure of NaMg14Cr (PBE, Materials Project).

DFT total energy = -1.980 eV/atom
space-group type = No. 187

abc: 6.4093 6.4093 10.2165
angles: 90.00 90.00 120.00
Closest atoms and distances in Å follow each position.
Atoms (fractional coordinates):
Na (0.1667, 0.3333, 0.1250)  12 Mg 3.20
Mg (0.1687, 0.8344, 0.1250)  10 Mg 3.14-3.22, 2 Na 3.20
Mg (0.1680, 0.8340, 0.6250)  10 Mg 3.10-3.22, 2 Cr 3.20
Mg (0.6656, 0.3313, 0.1250)  10 Mg 3.14-3.22, 2 Na 3.20
Mg (0.6660, 0.3320, 0.6250)  10 Mg 3.10-3.22, 2 Cr 3.20
Mg (0.6656, 0.8344, 0.1250)  10 Mg 3.14-3.22, 2 Na 3.20
Mg (0.6660, 0.8340, 0.6250)  10 Mg 3.10-3.22, 2 Cr 3.20
Mg (0.3326, 0.1674, 0.3813)  1 Cr 3.10, 10 Mg 3.10-3.22, 1 Na 3.20
Mg (0.3326, 0.1674, 0.8687)  1 Cr 3.10, 10 Mg 3.10-3.22, 1 Na 3.20
Mg (0.3326, 0.6653, 0.3813)  1 Cr 3.10, 10 Mg 3.10-3.22, 1 Na 3.20
Mg (0.3326, 0.6653, 0.8687)  1 Cr 3.10, 10 Mg 3.10-3.22, 1 Na 3.20
Mg (0.8347, 0.1674, 0.3813)  1 Cr 3.10, 10 Mg 3.10-3.22, 1 Na 3.20
Mg (0.8347, 0.1674, 0.8687)  1 Cr 3.10, 10 Mg 3.10-3.22, 1 Na 3.20
Mg (0.8333, 0.6667, 0.3725)  12 Mg 3.14-3.21
Mg (0.8333, 0.6667, 0.8775)  12 Mg 3.14-3.21
Cr (0.1667, 0.3333, 0.6250)  12 Mg 3.10-3.20

***

5.
# NaMg14Cr

An optimized crystal structure of NaMg14Cr (PBE, Materials Project).

DFT total energy = -1.977 eV/atom
space-group type = No. 38

abc: 6.3762 6.4117 10.2577
angles: 90.00 90.00 120.18
Closest atoms and distances in Å follow each position.
Atoms (fractional coordinates):
Na (0.1668, 0.3334, 0.1250)  10 Mg 3.17-3.20, 2 Cr 3.21
Mg (0.1677, 0.3339, 0.6250)  12 Mg 3.13-3.21
Mg (0.1672, 0.8336, 0.6250)  12 Mg 3.14-3.21
Mg (0.6659, 0.3330, 0.1250)  8 Mg 3.13-3.21, 2 Cr 3.18-3.20, 2 Na 3.18-3.19
Mg (0.6664, 0.3335, 0.6250)  12 Mg 3.12-3.21
Mg (0.6659, 0.8329, 0.1250)  8 Mg 3.13-3.21, 2 Cr 3.18-3.20, 2 Na 3.18-3.19
Mg (0.6664, 0.8328, 0.6250)  12 Mg 3.12-3.21
Mg (0.3320, 0.1612, 0.3747)  1 Cr 3.14, 10 Mg 3.14-3.27, 1 Na 3.17
Mg (0.3320, 0.1612, 0.8753)  1 Cr 3.14, 10 Mg 3.14-3.27, 1 Na 3.17
Mg (0.3320, 0.6709, 0.3747)  1 Cr 3.14, 10 Mg 3.14-3.27, 1 Na 3.17
Mg (0.3320, 0.6709, 0.8753)  1 Cr 3.14, 10 Mg 3.14-3.27, 1 Na 3.17
Mg (0.8311, 0.1656, 0.3795)  11 Mg 3.12-3.21, 1 Na 3.20
Mg (0.8311, 0.1656, 0.8705)  11 Mg 3.12-3.21, 1 Na 3.20
Mg (0.8380, 0.6690, 0.3708)  1 Cr 3.11, 11 Mg 3.13-3.23
Mg (0.8380, 0.6690, 0.8792)  1 Cr 3.11, 11 Mg 3.13-3.23
Cr (0.1674, 0.8337, 0.1250)  10 Mg 3.11-3.20, 2 Na 3.21

***

6.
# Mg6CrNi

An optimized crystal structure of Mg6CrNi (PBE, Materials Project).

DFT total energy = -2.968 eV/atom

abc: 4.8227 6.0654 10.4697
angles: 90.00 90.00 90.00
Closest atoms and distances in Å follow each position.
Atoms (fractional coordinates):
Mg (0.5000, 0.2489, 0.0832)  8 Mg 2.99-3.05, 2 Cr 3.02-3.03, 2 Ni 3.02-3.03
Mg (0.5000, 0.7511, 0.0832)  8 Mg 2.99-3.05, 2 Cr 3.02-3.03, 2 Ni 3.02-3.03
Mg (0.0000, 0.2448, 0.9110)  8 Mg 2.88-3.17, 2 Ni 2.95, 2 Cr 2.98
Mg (0.0000, 0.7552, 0.9110)  8 Mg 2.88-3.17, 2 Ni 2.95, 2 Cr 2.98
Mg (0.0000, 0.5000, 0.1749)  10 Mg 2.88-3.17, 2 Ni 2.92
Mg (0.0000, 0.5000, 0.6712)  2 Cr 2.95, 10 Mg 2.95-3.10
Mg (0.5000, 0.7489, 0.5832)  8 Mg 2.99-3.05, 2 Cr 3.02-3.03, 2 Ni 3.02-3.03
Mg (0.5000, 0.2511, 0.5832)  8 Mg 2.99-3.05, 2 Cr 3.02-3.03, 2 Ni 3.02-3.03
Mg (0.0000, 0.7448, 0.4110)  8 Mg 2.88-3.17, 2 Ni 2.95, 2 Cr 2.98
Mg (0.0000, 0.2552, 0.4110)  8 Mg 2.88-3.17, 2 Ni 2.95, 2 Cr 2.98
Mg (0.0000, 0.0000, 0.6749)  10 Mg 2.88-3.17, 2 Ni 2.92
Mg (0.0000, 0.0000, 0.1712)  2 Cr 2.95, 10 Mg 2.95-3.10
Cr (0.5000, 0.5000, 0.8330)  10 Mg 2.95-3.03, 2 Ni 3.03
Cr (0.5000, 0.0000, 0.3330)  10 Mg 2.95-3.03, 2 Ni 3.03
Ni (0.5000, 0.5000, 0.3325)  10 Mg 2.92-3.03, 2 Cr 3.03
Ni (0.5000, 0.0000, 0.8325)  10 Mg 2.92-3.03, 2 Cr 3.03

***

7.
# Mg6CrNi

An optimized crystal structure of Mg6CrNi (PBE, Materials Project).

DFT total energy = -2.962 eV/atom

abc: 4.8414 6.0400 10.4616
angles: 90.00 90.00 90.00
Closest atoms and distances in Å follow each position.
Atoms (fractional coordinates):
Mg (0.0000, 0.7418, 0.0879)  2 Ni 2.92-3.12, 8 Mg 2.92-3.12, 2 Cr 2.96
Mg (0.0000, 0.2582, 0.0879)  2 Ni 2.92-3.12, 8 Mg 2.92-3.12, 2 Cr 2.96
Mg (0.0000, 0.0000, 0.3334)  10 Mg 2.99-3.04, 2 Ni 3.02
Mg (0.5000, 0.2637, 0.4117)  8 Mg 2.85-3.19, 2 Cr 2.88-3.16, 2 Ni 2.94
Mg (0.5000, 0.7363, 0.4117)  8 Mg 2.85-3.19, 2 Cr 2.88-3.16, 2 Ni 2.94
Mg (0.5000, 0.0000, 0.1655)  10 Mg 2.99-3.03, 2 Cr 3.02
Mg (0.0000, 0.2418, 0.5879)  2 Ni 2.92-3.12, 8 Mg 2.92-3.12, 2 Cr 2.96
Mg (0.0000, 0.7582, 0.5879)  2 Ni 2.92-3.12, 8 Mg 2.92-3.12, 2 Cr 2.96
Mg (0.0000, 0.5000, 0.8334)  10 Mg 2.99-3.04, 2 Ni 3.02
Mg (0.5000, 0.7637, 0.9117)  8 Mg 2.85-3.19, 2 Cr 2.88-3.16, 2 Ni 2.94
Mg (0.5000, 0.2363, 0.9117)  8 Mg 2.85-3.19, 2 Cr 2.88-3.16, 2 Ni 2.94
Mg (0.5000, 0.5000, 0.6655)  10 Mg 2.99-3.03, 2 Cr 3.02
Cr (0.5000, 0.5000, 0.1724)  10 Mg 2.88-3.16, 2 Ni 2.93
Cr (0.5000, 0.0000, 0.6724)  10 Mg 2.88-3.16, 2 Ni 2.93
Ni (0.0000, 0.5000, 0.3296)  10 Mg 2.92-3.12, 2 Cr 2.93
Ni (0.0000, 0.0000, 0.8296)  10 Mg 2.92-3.12, 2 Cr 2.93

***

8.
# Mg2Cr3NiS8

An optimized crystal structure of Mg2Cr3NiS8 (PBE, Materials Project).

DFT total energy = -5.874 eV/atom
space-group type = No. 12

abc: 7.1665 7.1659 7.1833
angles: 59.96 59.94 60.13
Closest atoms and distances in Å follow each position.
Atoms (fractional coordinates):
Mg (0.8754, 0.8753, 0.8756)  4 S 2.43-2.46
Mg (0.1246, 0.1247, 0.1245)  4 S 2.43-2.46
Cr (0.5000, 0.5000, 0.0000)  6 S 2.41
Cr (0.0000, 0.5000, 0.5000)  6 S 2.40-2.42
Cr (0.5000, 0.0000, 0.5000)  6 S 2.40-2.42
Ni (0.5000, 0.5001, 0.4999)  6 S 2.35-2.38
S (0.7373, 0.7374, 0.7370)  3 Cr 2.41-2.42, 1 Mg 2.43
S (0.2680, 0.2680, 0.7051)  1 Ni 2.36, 2 Cr 2.41, 1 Mg 2.46
S (0.2666, 0.7062, 0.2665)  1 Ni 2.38, 2 Cr 2.40-2.41, 1 Mg 2.45
S (0.7059, 0.2671, 0.2670)  1 Ni 2.37, 2 Cr 2.40-2.41, 1 Mg 2.45
S (0.7334, 0.2938, 0.7335)  1 Ni 2.38, 2 Cr 2.40-2.41, 1 Mg 2.45
S (0.2941, 0.7329, 0.7330)  1 Ni 2.37, 2 Cr 2.40-2.41, 1 Mg 2.45
S (0.2627, 0.2626, 0.2630)  3 Cr 2.41-2.42, 1 Mg 2.43
S (0.7320, 0.7320, 0.2949)  1 Ni 2.35, 2 Cr 2.41, 1 Mg 2.46

***

Record order is preserved below.
Formation energy from the elements: -5.55; 1.73; 1.71; 1.69; 1.75; 1.29; 1.34; -15.24 eV/f.u.